Compound: Er2Ti2O7
Source: Materials Project
Functional: PBE
Structure: relaxed

a = 7.155 Å, b = 7.155 Å, c = 7.155 Å
α = 60.00°, β = 60.00°, γ = 60.00°
Sites, in units of the cell vectors:
Er  0.000  0.000  0.000
Er  0.000  0.000  0.500
Er  0.000  0.500  0.000
Er  0.500  0.000  0.000
Ti  0.000  0.500  0.500
Ti  0.500  0.000  0.500
Ti  0.500  0.500  0.000
Ti  0.500  0.500  0.500
O  0.125  0.125  0.125
O  0.168  0.168  0.582
O  0.168  0.582  0.168
O  0.168  0.582  0.582
O  0.418  0.418  0.832
O  0.418  0.832  0.418
O  0.418  0.832  0.832
O  0.582  0.168  0.168
O  0.582  0.168  0.582
O  0.582  0.582  0.168
O  0.832  0.418  0.418
O  0.832  0.418  0.832
O  0.832  0.832  0.418
O  0.875  0.875  0.875

The calculation puts the volume at 11.8 Å³/atom. As for the total energy: -8.76 eV per atom. The symmetry is Fd-3m. For the formation energy, the calculation gives -41.58 eV per formula unit.

---

Compound: Ca7OsN6
Source: Materials Project
Functional: PBE
Structure: relaxed

a = 11.046 Å, b = 6.313 Å, c = 13.360 Å
α = 90.00°, β = 90.00°, γ = 90.00°
Sites, in units of the cell vectors:
Ca  0.000  0.064  0.250
Ca  0.000  0.936  0.750
Ca  0.036  0.226  0.518
Ca  0.036  0.774  0.018
Ca  0.210  0.400  0.112
Ca  0.210  0.600  0.612
Ca  0.223  0.368  0.871
Ca  0.223  0.632  0.371
Ca  0.277  0.132  0.371
Ca  0.277  0.868  0.871
Ca  0.290  0.100  0.612
Ca  0.290  0.900  0.112
Ca  0.464  0.274  0.018
Ca  0.464  0.726  0.518
Ca  0.500  0.436  0.750
Ca  0.500  0.564  0.250
Ca  0.536  0.274  0.482
Ca  0.536  0.726  0.982
Ca  0.710  0.100  0.888
Ca  0.710  0.900  0.388
Ca  0.723  0.132  0.129
Ca  0.723  0.868  0.629
Ca  0.777  0.368  0.629
Ca  0.777  0.632  0.129
Ca  0.790  0.400  0.388
Ca  0.790  0.600  0.888
Ca  0.964  0.226  0.982
Ca  0.964  0.774  0.482
Os  0.000  0.426  0.750
Os  0.000  0.574  0.250
Os  0.500  0.074  0.250
Os  0.500  0.926  0.750
N  0.031  0.395  0.363
N  0.031  0.605  0.863
N  0.129  0.242  0.701
N  0.129  0.758  0.201
N  0.168  0.095  0.987
N  0.168  0.905  0.487
N  0.332  0.405  0.487
N  0.332  0.595  0.987
N  0.371  0.258  0.201
N  0.371  0.742  0.701
N  0.469  0.105  0.863
N  0.469  0.895  0.363
N  0.531  0.105  0.637
N  0.531  0.895  0.137
N  0.629  0.258  0.299
N  0.629  0.742  0.799
N  0.668  0.405  0.013
N  0.668  0.595  0.513
N  0.832  0.095  0.513
N  0.832  0.905  0.013
N  0.871  0.242  0.799
N  0.871  0.758  0.299
N  0.969  0.395  0.137
N  0.969  0.605  0.637

The calculation puts the volume at 16.6 Å³/atom. As for the total energy: -5.99 eV per atom. The symmetry is Pbcn. For the formation energy, the calculation gives -10.75 eV per formula unit.

---

Compound: Mg2GaB2Ir5
Source: Materials Project
Functional: PBE
Structure: relaxed

a = 9.494 Å, b = 9.494 Å, c = 2.941 Å
α = 90.00°, β = 90.00°, γ = 90.00°
Sites, in units of the cell vectors:
Mg  0.175  0.325  0.000
Mg  0.325  0.825  0.000
Mg  0.675  0.175  0.000
Mg  0.825  0.675  0.000
Ga  0.000  0.000  0.000
Ga  0.500  0.500  0.000
B  0.127  0.627  0.000
B  0.373  0.127  0.000
B  0.627  0.873  0.000
B  0.873  0.373  0.000
Ir  0.000  0.500  0.500
Ir  0.072  0.785  0.500
Ir  0.215  0.072  0.500
Ir  0.285  0.572  0.500
Ir  0.428  0.285  0.500
Ir  0.500  0.000  0.500
Ir  0.572  0.715  0.500
Ir  0.715  0.428  0.500
Ir  0.785  0.928  0.500
Ir  0.928  0.215  0.500

The calculation puts the volume at 13.3 Å³/atom. As for the total energy: -6.91 eV per atom. The symmetry is P4/mbm. For the formation energy, the calculation gives -5.36 eV per formula unit.